Below is MgCu2O4 after structural relaxation, with properties calculated at the PBE level.

Structure (extended XYZ):
```
14
Lattice="-2.725 2.725 5.606 2.725 -2.725 5.606 2.725 2.725 -5.606" Properties=species:S:1:pos:R:3 pbc="T T T"
Mg 2.725 1.362 1.401
Mg 0.000 1.362 4.204
Cu 0.000 0.000 0.000
Cu 1.362 1.362 -2.803
Cu 1.362 -1.362 2.803
Cu 0.000 2.725 0.000
O 2.725 -0.122 2.738
O 2.725 2.603 -2.738
O 1.240 1.362 0.064
O 1.484 -1.362 5.670
O 1.240 4.087 -0.064
O 1.484 1.362 5.541
O 0.000 0.122 8.344
O 0.000 2.846 2.867
```

Output
Energy with MP2020 corrections ... -39.95 eV/f.u.
Energy above the lowest structure with this stoichiometry ... 18 meV/atom


Below is MgCu2O2 after structural relaxation, with properties calculated at the PBE level.

Structure (extended XYZ):
```
5
Lattice="2.035 -2.031 0.000 2.035 2.031 0.000 -0.154 0.000 7.825" Properties=species:S:1:pos:R:3 pbc="T T T"
Mg 0.000 0.000 0.000
Cu 0.916 1.011 5.182
Cu 3.001 1.011 2.644
O 1.958 0.011 3.913
O 2.035 0.002 0.000
```

Output
Energy with MP2020 corrections ... -25.03 eV/f.u.
Energy above the lowest structure with this stoichiometry ... 355 meV/atom